Entry 1:
HfZrCoSb2Rh | PBE | relaxed

a = 4.5782 Å, b = 4.5782 Å, c = 22.4214 Å
α = 90.00°, β = 90.00°, γ = 120.00°
Space group R3m (No. 160, hexagonal axes)
Asymmetric unit:
Hf1 0.0000 0.0000 0.0000 (multiplicity 3)
Zr1 0.0000 0.0000 0.5008 (multiplicity 3)
Co1 0.0000 0.0000 0.8756 (multiplicity 3)
Sb1 0.0000 0.0000 0.1256 (multiplicity 3)
Sb2 0.0000 0.0000 0.6255 (multiplicity 3)
Rh1 0.0000 0.0000 0.3748 (multiplicity 3)


Entry 2:
K10NbInAs6 | PBE | relaxed

a = 9.278 Å, b = 8.407 Å, c = 17.813 Å
α = 90.00°, β = 120.02°, γ = 90.00°
Space group Pc (No. 7)
Asymmetric unit:
K1 0.000 0.076 0.341 (multiplicity 2)
K2 0.000 0.420 0.500 (multiplicity 2)
K3 0.107 0.272 0.185 (multiplicity 2)
K4 0.298 0.239 0.017 (multiplicity 2)
K5 0.382 0.271 0.499 (multiplicity 2)
K6 0.574 0.245 0.334 (multiplicity 2)
K7 0.679 0.080 0.017 (multiplicity 2)
K8 0.681 0.424 0.178 (multiplicity 2)
K9 0.747 0.262 0.852 (multiplicity 2)
K10 0.935 0.248 0.670 (multiplicity 2)
Nb1 0.335 0.123 0.683 (multiplicity 2)
In1 0.348 0.385 0.842 (multiplicity 2)
As1 0.067 0.500 0.337 (multiplicity 2)
As2 0.071 0.036 0.549 (multiplicity 2)
As3 0.327 0.051 0.820 (multiplicity 2)
As4 0.354 0.427 0.687 (multiplicity 2)
As5 0.586 0.005 0.681 (multiplicity 2)
As6 0.643 0.470 0.985 (multiplicity 2)


Entry 3:
TiSCl6O | PBE | relaxed

Properties
Polymorph energy (0 for the lowest one) in eV/atom: 0.0000

a = 7.916 Å, b = 10.639 Å, c = 12.971 Å
α = 90.00°, β = 104.43°, γ = 90.00°
Space group P2_1/c (No. 14)
Asymmetric unit:
Ti1 0.149 0.143 0.050 (multiplicity 4)
S1 0.398 0.578 0.751 (multiplicity 4)
Cl1 0.017 0.715 0.051 (multiplicity 4)
Cl2 0.100 0.523 0.413 (multiplicity 4)
Cl3 0.183 0.238 0.207 (multiplicity 4)
Cl4 0.236 0.567 0.854 (multiplicity 4)
Cl5 0.402 0.188 0.014 (multiplicity 4)
Cl6 0.411 0.550 0.175 (multiplicity 4)
O1 0.304 0.524 0.649 (multiplicity 4)


no.,total magnetic moment (μB/f.u.),calculated total energy (eV per atom)
1,0.01,-6.854
2,0.00,-3.345
3,0.00,-4.246